This record from the Materials Project database describes an optimized crystal structure of CaRhO3. The functional is meta-GGA r2SCAN.

abc: 5.5887 7.6286 5.3081
angles: 90.00 90.00 90.00
With the nearest neighbours (Å) after each atom.
Fractional positions:
Ca: 0.0642 0.2500 0.0184  6 O 2.27-2.53
Ca: 0.4358 0.7500 0.5184  6 O 2.27-2.53
Ca: 0.5642 0.2500 0.4816  6 O 2.27-2.53
Ca: 0.9358 0.7500 0.9816  6 O 2.27-2.53
Rh: 0.0000 0.0000 0.5000  6 O 1.99-2.01
Rh: 0.0000 0.5000 0.5000  6 O 1.99-2.01
Rh: 0.5000 0.0000 0.0000  6 O 1.99-2.01
Rh: 0.5000 0.5000 0.0000  6 O 1.99-2.01
O: 0.0341 0.7500 0.3975  2 Rh 1.99
O: 0.1978 0.5512 0.8076  2 Rh 2.01
O: 0.1978 0.9488 0.8076  2 Rh 2.01
O: 0.3022 0.0512 0.3076  2 Rh 2.01
O: 0.3022 0.4488 0.3076  2 Rh 2.01
O: 0.4659 0.2500 0.8975  2 Rh 1.99
O: 0.5341 0.7500 0.1025  2 Rh 1.99
O: 0.6978 0.5512 0.6924  2 Rh 2.01
O: 0.6978 0.9488 0.6924  2 Rh 2.01
O: 0.8022 0.0512 0.1924  2 Rh 2.01
O: 0.8022 0.4488 0.1924  2 Rh 2.01
O: 0.9659 0.2500 0.6025  2 Rh 1.99

Results
The total energy comes out at -11.73 eV/atom. Its space group is Pnma, No. 62. The calculation puts the energy relative to the elements at -1.907 eV/atom.